No. 1
# Ce2MgPb

A relaxed structure of Ce2MgPb (PBE-GGA, the Materials Project database).

Energy of formation ... -158 meV/atom
Calculated total energy ... -17.81 eV per cell

Cell: 5.4814 5.4814 5.4814 Å, 60.00 60.00 60.00°
Element x y z (fractional)
1 Ce 0.2500 0.2500 0.2500
2 Ce 0.7500 0.7500 0.7500
3 Mg 0.0000 0.0000 0.0000
4 Pb 0.5000 0.5000 0.5000

***

No. 2
# BaSrNbSbO6

A relaxed structure of BaSrNbSbO6 (PBE-GGA, the Materials Project database).

Energy of formation ... -2845 meV/atom
Calculated total energy ... -287.42 eV per cell
ΔE to the lowest computed polymorph ... 0 kJ/mol of formula units

Cell: 8.5595 8.5853 8.7652 Å, 90.00 90.00 90.00°
Element x y z (fractional)
1 Ba 0.0000 0.0000 0.0000
2 Ba 0.0000 0.0000 0.5000
3 Ba 0.5000 0.0000 0.0000
4 Ba 0.5000 0.5000 0.5000
5 Sr 0.0000 0.5000 0.0000
6 Sr 0.0000 0.5000 0.5000
7 Sr 0.5000 0.0000 0.5000
8 Sr 0.5000 0.5000 0.0000
9 Nb 0.2547 0.2513 0.2466
10 Nb 0.2547 0.7487 0.7534
11 Nb 0.7453 0.2513 0.7534
12 Nb 0.7453 0.7487 0.2466
13 Sb 0.2317 0.2700 0.7650
14 Sb 0.2317 0.7300 0.2350
15 Sb 0.7683 0.2700 0.2350
16 Sb 0.7683 0.7300 0.7650
17 O 0.0051 0.2429 0.2784
18 O 0.0051 0.7571 0.7216
19 O 0.2078 0.2992 0.9914
20 O 0.2078 0.7008 0.0086
21 O 0.2113 0.4967 0.2828
22 O 0.2113 0.5033 0.7172
23 O 0.2520 0.0380 0.1862
24 O 0.2520 0.9620 0.8138
25 O 0.2949 0.2085 0.4570
26 O 0.2949 0.7915 0.5430
27 O 0.4674 0.3004 0.1998
28 O 0.4674 0.6996 0.8002
29 O 0.5326 0.3004 0.8002
30 O 0.5326 0.6996 0.1998
31 O 0.7051 0.2085 0.5430
32 O 0.7051 0.7915 0.4570
33 O 0.7480 0.0380 0.8138
34 O 0.7480 0.9620 0.1862
35 O 0.7887 0.4967 0.7172
36 O 0.7887 0.5033 0.2828
37 O 0.7922 0.2992 0.0086
38 O 0.7922 0.7008 0.9914
39 O 0.9949 0.2429 0.7216
40 O 0.9949 0.7571 0.2784

***

No. 3
# PdSe2

A relaxed structure of PdSe2 (PBE-GGA, the Materials Project database).

Energy of formation ... -583 meV/atom
Calculated total energy ... -25.95 eV per cell

Cell: 20.1917 5.7512 5.8972 Å, 90.00 90.15 90.00°
Element x y z (fractional)
1 Pd 0.0000 0.0000 0.0000
2 Pd 0.0000 0.5000 0.5000
3 Se 0.0375 0.1104 0.6181
4 Se 0.0375 0.3896 0.1181
5 Se 0.9625 0.6104 0.8819
6 Se 0.9625 0.8896 0.3819

***

No. 4
# Li6AsS5I

A relaxed structure of Li6AsS5I (PBE-GGA, the Materials Project database).

Energy of formation ... -1219 meV/atom
Calculated total energy ... -51.27 eV per cell
Largest piezoelectric modulus ... 0.6 C/m²
ΔE to the lowest computed polymorph ... 0 kJ/mol of formula units

Cell: 7.2182 7.2905 7.2956 Å, 61.18 61.05 60.39°
Element x y z (fractional)
1 Li 0.0000 0.0000 0.0000
2 Li 0.0007 0.6037 0.3914
3 Li 0.1388 0.9851 0.3965
4 Li 0.5121 0.6205 0.8615
5 Li 0.5158 0.4549 0.3830
6 Li 0.5238 0.9864 0.0000
7 As 0.0460 0.5108 0.9109
8 S 0.2901 0.7663 0.1638
9 S 0.4148 0.3881 0.7858
10 S 0.9178 0.3929 0.7848
11 S 0.9243 0.3905 0.2716
12 S 0.9238 0.8757 0.7898
13 I 0.5598 0.9980 0.3930

***

No. 5
# Pr2Ga12Pd

A relaxed structure of Pr2Ga12Pd (PBE-GGA, the Materials Project database).

Energy of formation ... -425 meV/atom
Calculated total energy ... -114.91 eV per cell

Cell: 6.1264 6.1264 15.7192 Å, 90.00 90.00 90.00°
Element x y z (fractional)
1 Pr 0.2500 0.7500 0.2491
2 Pr 0.2500 0.7500 0.7509
3 Pr 0.7500 0.2500 0.2491
4 Pr 0.7500 0.2500 0.7509
5 Ga 0.0007 0.5007 0.0878
6 Ga 0.0007 0.9993 0.9122
7 Ga 0.0738 0.5738 0.5713
8 Ga 0.0738 0.9262 0.4287
9 Ga 0.2500 0.2500 0.1853
10 Ga 0.2500 0.2500 0.3422
11 Ga 0.2500 0.2500 0.6578
12 Ga 0.2500 0.2500 0.8147
13 Ga 0.4262 0.5738 0.4287
14 Ga 0.4262 0.9262 0.5713
15 Ga 0.4993 0.5007 0.9122
16 Ga 0.4993 0.9993 0.0878
17 Ga 0.5007 0.0007 0.9122
18 Ga 0.5007 0.4993 0.0878
19 Ga 0.5738 0.0738 0.4287
20 Ga 0.5738 0.4262 0.5713
21 Ga 0.7500 0.7500 0.1853
22 Ga 0.7500 0.7500 0.3422
23 Ga 0.7500 0.7500 0.6578
24 Ga 0.7500 0.7500 0.8147
25 Ga 0.9262 0.0738 0.5713
26 Ga 0.9262 0.4262 0.4287
27 Ga 0.9993 0.0007 0.0878
28 Ga 0.9993 0.4993 0.9122
29 Pd 0.2500 0.7500 0.0000
30 Pd 0.7500 0.2500 0.0000

***

No. 6
# Cs3GaI6

A relaxed structure of Cs3GaI6 (PBE-GGA, the Materials Project database).

Energy of formation ... -1259 meV/atom
Calculated total energy ... -25.17 eV per cell

Cell: 9.1003 9.1003 9.1003 Å, 60.00 60.00 60.00°
Element x y z (fractional)
1 Cs 0.0000 0.0000 0.0000
2 Cs 0.2500 0.2500 0.2500
3 Cs 0.7500 0.7500 0.7500
4 Ga 0.5000 0.5000 0.5000
5 I 0.2809 0.2809 0.7191
6 I 0.2809 0.7191 0.2809
7 I 0.2809 0.7191 0.7191
8 I 0.7191 0.2809 0.2809
9 I 0.7191 0.2809 0.7191
10 I 0.7191 0.7191 0.2809